A geometry-optimized Ce4Si4N7ClO3 structure. Source: the Materials Project, functional PBE-GGA.

Properties
symmetry	No. 19
crystal system	orthorhombic
ΔH_f (0 K)	-1.96	eV per atom
total energy	-8.198	eV/atom
energy above the lowest structure with this stoichiometry	0.000	eV per atom

abc: 10.590 10.393 10.458
angles: 90.00 90.00 90.00
Fractional coordinates of all 76 atoms:
1 Ce 0.042 0.814 0.690
2 Ce 0.102 0.107 0.110
3 Ce 0.180 0.195 0.450
4 Ce 0.188 0.456 0.188
5 Ce 0.312 0.544 0.688
6 Ce 0.320 0.805 0.950
7 Ce 0.398 0.893 0.610
8 Ce 0.458 0.186 0.190
9 Ce 0.542 0.686 0.310
10 Ce 0.602 0.393 0.890
11 Ce 0.680 0.305 0.550
12 Ce 0.688 0.044 0.812
13 Ce 0.812 0.956 0.312
14 Ce 0.820 0.695 0.050
15 Ce 0.898 0.607 0.390
16 Ce 0.958 0.314 0.810
17 Si 0.071 0.572 0.929
18 Si 0.077 0.748 0.197
19 Si 0.195 0.081 0.744
20 Si 0.246 0.304 0.919
21 Si 0.254 0.696 0.419
22 Si 0.305 0.919 0.244
23 Si 0.423 0.252 0.697
24 Si 0.429 0.428 0.429
25 Si 0.571 0.928 0.071
26 Si 0.577 0.752 0.803
27 Si 0.695 0.419 0.256
28 Si 0.746 0.196 0.081
29 Si 0.754 0.804 0.581
30 Si 0.805 0.581 0.756
31 Si 0.923 0.248 0.303
32 Si 0.929 0.072 0.571
33 N 0.056 0.635 0.078
34 N 0.077 0.288 0.262
35 N 0.076 0.055 0.636
36 N 0.129 0.652 0.325
37 N 0.136 0.422 0.943
38 N 0.153 0.174 0.872
39 N 0.177 0.872 0.153
40 N 0.323 0.128 0.653
41 N 0.347 0.826 0.372
42 N 0.364 0.578 0.443
43 N 0.371 0.348 0.825
44 N 0.424 0.945 0.136
45 N 0.423 0.712 0.762
46 N 0.444 0.365 0.578
47 N 0.556 0.865 0.922
48 N 0.577 0.212 0.738
49 N 0.576 0.445 0.364
50 N 0.629 0.848 0.675
51 N 0.636 0.078 0.057
52 N 0.653 0.326 0.128
53 N 0.677 0.628 0.847
54 N 0.823 0.372 0.347
55 N 0.847 0.674 0.628
56 N 0.864 0.922 0.557
57 N 0.871 0.152 0.175
58 N 0.924 0.555 0.864
59 N 0.923 0.788 0.238
60 N 0.944 0.135 0.422
61 Cl 0.071 0.429 0.575
62 Cl 0.429 0.571 0.075
63 Cl 0.571 0.071 0.425
64 Cl 0.929 0.929 0.925
65 O 0.160 0.666 0.835
66 O 0.209 0.736 0.568
67 O 0.233 0.930 0.789
68 O 0.267 0.070 0.289
69 O 0.291 0.264 0.068
70 O 0.340 0.334 0.335
71 O 0.660 0.834 0.165
72 O 0.709 0.764 0.432
73 O 0.733 0.570 0.211
74 O 0.767 0.430 0.711
75 O 0.791 0.236 0.932
76 O 0.840 0.166 0.665

A geometry-optimized Na3CeCl6 structure. Source: the Materials Project, functional PBE-GGA.

Properties
symmetry	No. 225
crystal system	cubic
ΔH_f (0 K)	-2.18	eV per atom
total energy	-3.910	eV/atom

abc: 7.684 7.684 7.684
angles: 60.00 60.00 60.00
Fractional coordinates of all 10 atoms:
1 Na 0.750 0.750 0.750
2 Na 0.250 0.250 0.250
3 Na 0.500 0.500 0.500
4 Ce 0.000 0.000 0.000
5 Cl 0.749 0.251 0.251
6 Cl 0.251 0.251 0.749
7 Cl 0.251 0.749 0.749
8 Cl 0.251 0.749 0.251
9 Cl 0.749 0.251 0.749
10 Cl 0.749 0.749 0.251

A geometry-optimized Na3Ce5Cl18 structure. Source: the Materials Project, functional PBE-GGA.

Properties
symmetry	No. 174
crystal system	hexagonal
ΔH_f (0 K)	-2.54	eV per atom
total energy	-4.684	eV/atom

abc: 7.605 7.605 13.013
angles: 90.00 90.00 120.00
Fractional coordinates of all 26 atoms:
1 Na 0.333 0.667 0.750
2 Na 0.000 0.000 0.612
3 Na 0.000 0.000 0.888
4 Ce 0.333 0.667 0.085
5 Ce 0.333 0.667 0.415
6 Ce 0.667 0.333 0.584
7 Ce 0.667 0.333 0.250
8 Ce 0.667 0.333 0.916
9 Cl 0.306 0.912 0.250
10 Cl 0.312 0.921 0.576
11 Cl 0.312 0.921 0.924
12 Cl 0.088 0.393 0.250
13 Cl 0.079 0.391 0.576
14 Cl 0.079 0.391 0.924
15 Cl 0.392 0.305 0.086
16 Cl 0.392 0.305 0.414
17 Cl 0.382 0.284 0.750
18 Cl 0.607 0.694 0.250
19 Cl 0.609 0.688 0.576
20 Cl 0.609 0.688 0.924
21 Cl 0.913 0.608 0.086
22 Cl 0.902 0.618 0.750
23 Cl 0.913 0.608 0.414
24 Cl 0.695 0.087 0.086
25 Cl 0.695 0.087 0.414
26 Cl 0.716 0.098 0.750

A geometry-optimized Rb2NaCeCl6 structure. Source: the Materials Project, functional PBE-GGA.

Properties
symmetry	No. 225
crystal system	cubic
ΔH_f (0 K)	-2.42	eV per atom
total energy	-4.085	eV/atom

abc: 7.785 7.785 7.785
angles: 60.00 60.00 60.00
Fractional coordinates of all 10 atoms:
1 Rb 0.750 0.750 0.750
2 Rb 0.250 0.250 0.250
3 Na 0.500 0.500 0.500
4 Ce 0.000 0.000 0.000
5 Cl 0.751 0.249 0.249
6 Cl 0.249 0.249 0.751
7 Cl 0.249 0.751 0.751
8 Cl 0.249 0.751 0.249
9 Cl 0.751 0.249 0.751
10 Cl 0.751 0.751 0.249

A geometry-optimized Ce2Cl2O structure. Source: the Materials Project, functional PBE-GGA.

Properties
symmetry	No. 123
crystal system	tetragonal
ΔH_f (0 K)	-1.38	eV per atom
total energy	-5.341	eV/atom

abc: 5.759 5.759 12.965
angles: 90.00 90.00 90.00
Fractional coordinates of all 5 atoms:
1 Ce 0.500 0.500 0.161
2 Ce 0.500 0.500 0.839
3 Cl 0.500 0.500 0.639
4 Cl 0.500 0.500 0.361
5 O 0.500 0.500 0.000

A geometry-optimized CeCl3O3 structure. Source: the Materials Project, functional PBE-GGA.

Properties
symmetry	No. 1
crystal system	triclinic
ΔH_f (0 K)	-1.18	eV per atom
total energy	-4.873	eV/atom
energy above the lowest structure with this stoichiometry	0.000	eV per atom

abc: 6.227 8.677 13.523
angles: 89.86 89.90 89.99
Fractional coordinates of all 28 atoms:
1 Ce 0.433 0.250 0.468
2 Ce 0.068 0.250 0.968
3 Ce 0.568 0.750 0.532
4 Ce 0.932 0.750 0.032
5 Cl 0.683 0.250 0.316
6 Cl 0.817 0.250 0.816
7 Cl 0.317 0.750 0.684
8 Cl 0.183 0.750 0.184
9 Cl 0.323 0.556 0.411
10 Cl 0.178 0.945 0.911
11 Cl 0.678 0.055 0.589
12 Cl 0.822 0.445 0.089
13 Cl 0.678 0.444 0.589
14 Cl 0.822 0.055 0.089
15 Cl 0.322 0.945 0.411
16 Cl 0.178 0.555 0.911
17 O 0.142 0.249 0.492
18 O 0.358 0.248 0.992
19 O 0.857 0.751 0.508
20 O 0.642 0.751 0.008
21 O 0.272 0.180 0.690
22 O 0.226 0.322 0.192
23 O 0.728 0.679 0.309
24 O 0.772 0.820 0.810
25 O 0.728 0.821 0.310
26 O 0.772 0.679 0.809
27 O 0.273 0.321 0.691
28 O 0.229 0.180 0.190

A geometry-optimized CeCl3O3 structure. Source: the Materials Project, functional PBE-GGA.

Properties
symmetry	No. 62
crystal system	orthorhombic
ΔH_f (0 K)	-0.87	eV per atom
total energy	-4.339	eV/atom
energy above the lowest structure with this stoichiometry	0.309	eV per atom

abc: 6.788 8.429 12.222
angles: 90.00 90.00 90.00
Fractional coordinates of all 28 atoms:
1 Ce 0.881 0.750 0.986
2 Ce 0.619 0.750 0.486
3 Ce 0.119 0.250 0.014
4 Ce 0.381 0.250 0.514
5 Cl 0.998 0.750 0.221
6 Cl 0.502 0.750 0.721
7 Cl 0.002 0.250 0.779
8 Cl 0.498 0.250 0.279
9 Cl 0.815 0.046 0.082
10 Cl 0.685 0.454 0.582
11 Cl 0.185 0.546 0.918
12 Cl 0.315 0.954 0.418
13 Cl 0.185 0.954 0.918
14 Cl 0.315 0.546 0.418
15 Cl 0.815 0.454 0.082
16 Cl 0.685 0.046 0.582
17 O 0.581 0.750 0.972
18 O 0.919 0.750 0.472
19 O 0.419 0.250 0.028
20 O 0.081 0.250 0.528
21 O 0.725 0.623 0.836
22 O 0.775 0.877 0.336
23 O 0.275 0.123 0.164
24 O 0.225 0.377 0.664
25 O 0.275 0.377 0.164
26 O 0.225 0.123 0.664
27 O 0.725 0.877 0.836
28 O 0.775 0.623 0.336

A geometry-optimized Ce3SiCl5O4 structure. Source: the Materials Project, functional PBE-GGA.

Properties
symmetry	No. 33
crystal system	orthorhombic
ΔH_f (0 K)	-2.88	eV per atom
total energy	-6.692	eV/atom

abc: 4.238 14.265 16.260
angles: 90.00 90.00 90.00
Fractional coordinates of all 52 atoms:
1 Ce 0.237 0.915 0.626
2 Ce 0.237 0.585 0.126
3 Ce 0.737 0.085 0.374
4 Ce 0.737 0.415 0.874
5 Ce 0.238 0.066 0.873
6 Ce 0.238 0.434 0.373
7 Ce 0.738 0.934 0.127
8 Ce 0.738 0.566 0.627
9 Ce 0.237 0.747 0.867
10 Ce 0.237 0.753 0.367
11 Ce 0.737 0.253 0.133
12 Ce 0.737 0.247 0.633
13 Si 0.169 0.408 0.709
14 Si 0.669 0.592 0.291
15 Si 0.669 0.908 0.791
16 Si 0.169 0.092 0.209
17 Cl 0.251 0.287 0.980
18 Cl 0.251 0.213 0.480
19 Cl 0.751 0.713 0.020
20 Cl 0.751 0.787 0.520
21 Cl 0.248 0.904 0.988
22 Cl 0.248 0.596 0.488
23 Cl 0.748 0.096 0.012
24 Cl 0.748 0.404 0.512
25 Cl 0.248 0.720 0.679
26 Cl 0.248 0.780 0.179
27 Cl 0.748 0.280 0.321
28 Cl 0.748 0.220 0.821
29 Cl 0.248 0.104 0.700
30 Cl 0.248 0.396 0.200
31 Cl 0.748 0.896 0.300
32 Cl 0.748 0.604 0.800
33 Cl 0.248 0.554 0.944
34 Cl 0.248 0.946 0.444
35 Cl 0.748 0.446 0.056
36 Cl 0.748 0.054 0.556
37 O 0.249 0.409 0.808
38 O 0.249 0.091 0.308
39 O 0.749 0.591 0.192
40 O 0.749 0.909 0.692
41 O 0.250 0.505 0.658
42 O 0.250 0.995 0.158
43 O 0.750 0.495 0.342
44 O 0.750 0.005 0.842
45 O 0.248 0.310 0.660
46 O 0.248 0.190 0.160
47 O 0.748 0.690 0.340
48 O 0.748 0.810 0.840
49 O 0.276 0.909 0.792
50 O 0.276 0.591 0.292
51 O 0.776 0.091 0.208
52 O 0.776 0.409 0.708

A geometry-optimized Ce3TaCl3O6 structure. Source: the Materials Project, functional PBE-GGA.

Properties
symmetry	No. 176
crystal system	hexagonal
ΔH_f (0 K)	-3.31	eV per atom
total energy	-7.988	eV/atom

abc: 9.322 9.322 5.410
angles: 90.00 90.00 120.00
Fractional coordinates of all 26 atoms:
1 Ce 0.589 0.680 0.750
2 Ce 0.090 0.411 0.750
3 Ce 0.411 0.320 0.250
4 Ce 0.320 0.910 0.750
5 Ce 0.910 0.589 0.250
6 Ce 0.680 0.090 0.250
7 Ta 0.667 0.333 0.750
8 Ta 0.333 0.667 0.250
9 Cl 0.948 0.759 0.750
10 Cl 0.241 0.189 0.750
11 Cl 0.052 0.241 0.250
12 Cl 0.189 0.948 0.250
13 Cl 0.811 0.052 0.750
14 Cl 0.759 0.811 0.250
15 O 0.635 0.479 0.989
16 O 0.845 0.365 0.511
17 O 0.479 0.845 0.011
18 O 0.521 0.155 0.511
19 O 0.479 0.845 0.489
20 O 0.155 0.635 0.489
21 O 0.365 0.521 0.489
22 O 0.155 0.635 0.011
23 O 0.521 0.155 0.989
24 O 0.635 0.479 0.511
25 O 0.845 0.365 0.989
26 O 0.365 0.521 0.011

A geometry-optimized Ce2Te4Cl2O11 structure. Source: the Materials Project, functional PBE-GGA.

Properties
symmetry	No. 2
crystal system	triclinic
ΔH_f (0 K)	-2.16	eV per atom
total energy	-6.112	eV/atom

abc: 8.255 9.900 10.699
angles: 109.67 109.39 97.58
Fractional coordinates of all 38 atoms:
1 Ce 0.879 0.617 0.614
2 Ce 0.121 0.383 0.386
3 Ce 0.382 0.110 0.118
4 Ce 0.618 0.890 0.882
5 Te 0.997 0.737 0.005
6 Te 0.003 0.263 0.995
7 Te 0.741 0.483 0.192
8 Te 0.259 0.517 0.808
9 Te 0.806 0.969 0.264
10 Te 0.194 0.031 0.736
11 Te 0.463 0.758 0.452
12 Te 0.537 0.242 0.548
13 Cl 0.631 0.398 0.891
14 Cl 0.369 0.602 0.109
15 Cl 0.106 0.878 0.378
16 Cl 0.894 0.122 0.622
17 O 0.601 0.990 0.121
18 O 0.399 0.010 0.879
19 O 0.664 0.681 0.474
20 O 0.336 0.319 0.526
21 O 0.484 0.145 0.347
22 O 0.516 0.855 0.653
23 O 0.886 0.508 0.388
24 O 0.114 0.492 0.612
25 O 0.835 0.858 0.088
26 O 0.165 0.142 0.912
27 O 0.925 0.390 0.157
28 O 0.075 0.610 0.843
29 O 0.174 0.259 0.167
30 O 0.826 0.741 0.833
31 O 0.944 0.160 0.318
32 O 0.056 0.840 0.682
33 O 0.703 0.416 0.587
34 O 0.297 0.584 0.413
35 O 0.567 0.319 0.158
36 O 0.433 0.681 0.842
37 O 0.175 0.909 0.061
38 O 0.825 0.091 0.939

A geometry-optimized Ce2Te7Cl2O17 structure. Source: the Materials Project, functional PBE-GGA.

Properties
symmetry	No. 13
crystal system	monoclinic
ΔH_f (0 K)	-1.95	eV per atom
total energy	-5.877	eV/atom

abc: 5.448 9.866 20.581
angles: 67.92 90.00 90.00
Fractional coordinates of all 56 atoms:
1 Ce 0.637 0.005 0.091
2 Ce 0.363 0.995 0.909
3 Ce 0.637 0.995 0.409
4 Ce 0.363 0.005 0.591
5 Te 0.946 0.000 0.250
6 Te 0.054 0.000 0.750
7 Te 0.104 0.292 0.087
8 Te 0.896 0.708 0.913
9 Te 0.104 0.708 0.413
10 Te 0.896 0.292 0.587
11 Te 0.822 0.269 0.918
12 Te 0.178 0.731 0.082
13 Te 0.822 0.731 0.582
14 Te 0.178 0.269 0.418
15 Te 0.511 0.327 0.742
16 Te 0.489 0.673 0.258
17 Te 0.511 0.673 0.758
18 Te 0.489 0.327 0.242
19 Cl 0.673 0.530 0.080
20 Cl 0.327 0.470 0.920
21 Cl 0.673 0.470 0.420
22 Cl 0.327 0.530 0.580
23 O 0.071 0.143 0.910
24 O 0.929 0.857 0.090
25 O 0.071 0.857 0.590
26 O 0.929 0.143 0.410
27 O 0.902 0.230 0.021
28 O 0.098 0.770 0.979
29 O 0.902 0.770 0.479
30 O 0.098 0.230 0.521
31 O 0.339 0.144 0.097
32 O 0.661 0.856 0.903
33 O 0.339 0.856 0.403
34 O 0.661 0.144 0.597
35 O 0.618 0.212 0.836
36 O 0.382 0.788 0.164
37 O 0.618 0.788 0.664
38 O 0.382 0.212 0.336
39 O 0.597 0.116 0.967
40 O 0.403 0.884 0.033
41 O 0.597 0.884 0.533
42 O 0.403 0.116 0.467
43 O 0.687 0.500 0.750
44 O 0.313 0.500 0.250
45 O 0.227 0.278 0.196
46 O 0.773 0.722 0.804
47 O 0.227 0.722 0.304
48 O 0.773 0.278 0.696
49 O 0.714 0.900 0.215
50 O 0.286 0.100 0.785
51 O 0.714 0.100 0.285
52 O 0.286 0.900 0.715
53 O 0.866 0.160 0.149
54 O 0.134 0.840 0.851
55 O 0.866 0.840 0.351
56 O 0.134 0.160 0.649